A plane-wave DFT calculation with PBE-GGA was carried out for PrPS4 after structural relaxation.

Summary:
**Total energy**: -265.19 eV/cell
**MP2020-corrected energy**: -5.86 eV per atom
**DFT formation energy**: -1404 meV per atom
**SG**: I4_1/acd

Unit cell a=12.526 b=12.526 c=12.526 alpha=127.40 beta=127.40 gamma=77.60
Fractional coordinates of all 48 atoms:
Pr 0.125 0.375 0.750
Pr 0.125 0.875 0.250
Pr 0.375 0.125 0.250
Pr 0.375 0.625 0.750
Pr 0.625 0.375 0.250
Pr 0.625 0.875 0.750
Pr 0.875 0.125 0.750
Pr 0.875 0.625 0.250
P 0.213 0.250 0.463
P 0.250 0.287 0.037
P 0.250 0.787 0.537
P 0.287 0.750 0.037
P 0.713 0.250 0.963
P 0.750 0.213 0.463
P 0.750 0.713 0.963
P 0.787 0.750 0.537
S 0.092 0.884 0.479
S 0.095 0.387 0.979
S 0.097 0.664 0.936
S 0.113 0.405 0.521
S 0.116 0.095 0.208
S 0.161 0.097 0.933
S 0.164 0.597 0.436
S 0.229 0.161 0.564
S 0.271 0.836 0.933
S 0.336 0.771 0.433
S 0.339 0.271 0.936
S 0.384 0.592 0.979
S 0.387 0.908 0.292
S 0.403 0.339 0.567
S 0.405 0.384 0.292
S 0.408 0.887 0.792
S 0.592 0.113 0.208
S 0.595 0.616 0.708
S 0.597 0.661 0.433
S 0.613 0.092 0.708
S 0.616 0.408 0.021
S 0.661 0.729 0.064
S 0.664 0.229 0.567
S 0.729 0.164 0.067
S 0.771 0.839 0.436
S 0.836 0.403 0.564
S 0.839 0.903 0.067
S 0.884 0.905 0.792
S 0.887 0.595 0.479
S 0.903 0.336 0.064
S 0.905 0.613 0.021
S 0.908 0.116 0.521


A plane-wave DFT calculation with PBE-GGA was carried out for Li2PmPb after structural relaxation.

Summary:
**Total energy**: -13.63 eV/cell
**DFT formation energy**: -338 meV per atom
**SG**: Fm-3m

Unit cell a=4.945 b=4.945 c=4.945 alpha=60.00 beta=60.00 gamma=60.00
Fractional coordinates of all 4 atoms:
Li 0.250 0.250 0.250
Li 0.750 0.750 0.750
Pm 0.000 0.000 0.000
Pb 0.500 0.500 0.500


A plane-wave DFT calculation with PBE-GGA was carried out for NaIn4PS5O24 after structural relaxation.

Summary:
**Total energy**: -635.43 eV/cell
**MP2020-corrected energy**: -6.52 eV per atom
**DFT formation energy**: -2032 meV per atom
**SG**: P1

Unit cell a=8.878 b=8.883 c=23.285 alpha=89.75 beta=89.89 gamma=60.16
Fractional coordinates of all 105 atoms:
Na 0.000 0.000 0.000
Na 0.000 0.012 0.507
Na 0.661 0.673 0.667
In 0.001 0.005 0.153
In 0.001 0.006 0.354
In 0.001 0.012 0.650
In 0.001 0.999 0.854
In 0.329 0.344 0.981
In 0.335 0.339 0.189
In 0.340 0.332 0.487
In 0.341 0.333 0.687
In 0.661 0.673 0.524
In 0.668 0.671 0.318
In 0.672 0.673 0.021
In 0.673 0.671 0.819
P 0.334 0.046 0.586
P 0.628 0.338 0.586
P 0.960 0.675 0.920
S 0.001 0.712 0.253
S 0.002 0.299 0.753
S 0.042 0.338 0.087
S 0.042 0.632 0.586
S 0.295 0.005 0.253
S 0.296 0.711 0.752
S 0.336 0.632 0.086
S 0.373 0.671 0.419
S 0.374 0.965 0.920
S 0.625 0.048 0.086
S 0.668 0.964 0.419
S 0.669 0.378 0.920
S 0.708 0.005 0.752
S 0.708 0.299 0.253
S 0.961 0.380 0.420
O 0.024 0.179 0.093
O 0.024 0.807 0.592
O 0.028 0.193 0.806
O 0.033 0.790 0.304
O 0.117 0.527 0.639
O 0.120 0.365 0.139
O 0.134 0.363 0.426
O 0.139 0.513 0.927
O 0.145 0.557 0.534
O 0.152 0.305 0.035
O 0.156 0.319 0.746
O 0.157 0.540 0.245
O 0.173 0.022 0.591
O 0.177 0.808 0.092
O 0.185 0.037 0.304
O 0.192 0.788 0.805
O 0.197 0.986 0.914
O 0.198 0.831 0.413
O 0.217 0.821 0.701
O 0.218 0.974 0.201
O 0.300 0.155 0.531
O 0.303 0.554 0.035
O 0.312 0.161 0.245
O 0.312 0.539 0.746
O 0.353 0.518 0.426
O 0.361 0.135 0.927
O 0.362 0.125 0.641
O 0.362 0.528 0.139
O 0.448 0.856 0.972
O 0.450 0.705 0.470
O 0.467 0.849 0.261
O 0.472 0.694 0.759
O 0.478 0.645 0.367
O 0.478 0.887 0.868
O 0.491 0.651 0.079
O 0.501 0.865 0.581
O 0.514 0.136 0.425
O 0.516 0.358 0.927
O 0.518 0.372 0.641
O 0.522 0.126 0.139
O 0.535 0.315 0.245
O 0.536 0.160 0.747
O 0.547 0.158 0.034
O 0.550 0.311 0.531
O 0.639 0.485 0.868
O 0.642 0.875 0.080
O 0.643 0.885 0.367
O 0.651 0.500 0.581
O 0.690 0.847 0.758
O 0.691 0.472 0.260
O 0.699 0.455 0.972
O 0.701 0.853 0.471
O 0.785 0.032 0.805
O 0.785 0.189 0.305
O 0.802 0.030 0.092
O 0.808 0.172 0.591
O 0.817 0.222 0.201
O 0.819 0.973 0.701
O 0.828 0.204 0.914
O 0.828 0.981 0.413
O 0.842 0.474 0.759
O 0.845 0.695 0.260
O 0.848 0.709 0.975
O 0.851 0.458 0.471
O 0.867 0.650 0.580
O 0.869 0.491 0.080
O 0.880 0.644 0.866
O 0.884 0.483 0.367
O 0.969 0.222 0.702
O 0.969 0.821 0.201
O 0.978 0.204 0.414
O 0.979 0.839 0.915


A plane-wave DFT calculation with PBE-GGA was carried out for SrRu2O6 after structural relaxation.

Summary:
**Total energy**: -61.53 eV/cell
**MP2020-corrected energy**: -7.29 eV per atom
**DFT formation energy**: -1748 meV per atom
**SG**: Imm2

Unit cell a=5.466 b=5.466 c=5.466 alpha=119.94 beta=90.13 gamma=119.91
Fractional coordinates of all 9 atoms:
Sr 0.000 0.000 0.000
Ru 0.253 0.503 0.750
Ru 0.754 0.503 0.250
O 0.069 0.569 0.500
O 0.454 0.454 0.000
O 0.530 0.005 0.029
O 0.530 0.501 0.526
O 0.976 0.005 0.474
O 0.976 0.501 0.971


A plane-wave DFT calculation with PBE-GGA was carried out for MgTe2MoW2Se2S2 after structural relaxation.

Summary:
**Total energy**: -63.23 eV/cell
**MP2020-corrected energy**: -6.42 eV per atom
**DFT formation energy**: -432 meV per atom
**SG**: Cm

Unit cell a=3.348 b=3.348 c=30.965 alpha=90.00 beta=90.00 gamma=60.00
Fractional coordinates of all 10 atoms:
Mg 0.000 0.000 0.000
Te 0.998 0.998 0.661
Te 0.998 0.998 0.784
Mo 0.998 0.998 0.491
W 0.331 0.331 0.259
W 0.331 0.331 0.722
Se 0.998 0.998 0.206
Se 0.998 0.998 0.314
S 0.331 0.331 0.442
S 0.331 0.331 0.540


A plane-wave DFT calculation with PBE-GGA was carried out for Mn3As2 after structural relaxation.

Summary:
**Total energy**: -75.18 eV/cell
**DFT formation energy**: -157 meV per atom
**SG**: C2/m

Unit cell a=6.665 b=6.665 c=8.702 alpha=129.96 beta=129.96 gamma=30.28
Fractional coordinates of all 10 atoms:
Mn 0.000 0.000 0.000
Mn 0.107 0.107 0.410
Mn 0.196 0.196 0.826
Mn 0.500 0.500 0.500
Mn 0.804 0.804 0.174
Mn 0.893 0.893 0.590
As 0.250 0.250 0.321
As 0.440 0.440 0.155
As 0.560 0.560 0.845
As 0.750 0.750 0.679


A plane-wave DFT calculation with PBE-GGA was carried out for SiSnPt5 after structural relaxation.

Summary:
**Total energy**: -43.54 eV/cell
**DFT formation energy**: -535 meV per atom
**SG**: P4/mmm

Unit cell a=4.018 b=4.018 c=7.109 alpha=90.00 beta=90.00 gamma=90.00
Fractional coordinates of all 7 atoms:
Si 0.000 0.000 0.000
Sn 0.500 0.500 0.500
Pt 0.000 0.000 0.500
Pt 0.000 0.500 0.204
Pt 0.000 0.500 0.796
Pt 0.500 0.000 0.204
Pt 0.500 0.000 0.796


A plane-wave DFT calculation with PBE-GGA was carried out for ZnCuSb2O7 after structural relaxation.

Summary:
**Total energy**: -357.73 eV/cell
**MP2020-corrected energy**: -5.86 eV per atom
**DFT formation energy**: -1471 meV per atom
**SG**: P2/c

Unit cell a=10.360 b=8.531 c=10.840 alpha=90.00 beta=96.87 gamma=90.00
Fractional coordinates of all 66 atoms:
Zn 0.000 0.064 0.250
Zn 0.000 0.936 0.750
Zn 0.364 0.443 0.921
Zn 0.364 0.557 0.421
Zn 0.636 0.443 0.579
Zn 0.636 0.557 0.079
Cu 0.000 0.430 0.250
Cu 0.000 0.570 0.750
Cu 0.302 0.076 0.914
Cu 0.302 0.924 0.414
Cu 0.698 0.076 0.586
Cu 0.698 0.924 0.086
Sb 0.004 0.274 0.964
Sb 0.004 0.726 0.464
Sb 0.321 0.222 0.206
Sb 0.321 0.778 0.706
Sb 0.337 0.249 0.626
Sb 0.337 0.751 0.126
Sb 0.663 0.249 0.874
Sb 0.663 0.751 0.374
Sb 0.679 0.222 0.294
Sb 0.679 0.778 0.794
Sb 0.996 0.274 0.536
Sb 0.996 0.726 0.036
O 0.006 0.078 0.612
O 0.006 0.922 0.112
O 0.044 0.259 0.142
O 0.044 0.741 0.642
O 0.080 0.440 0.880
O 0.080 0.560 0.380
O 0.177 0.346 0.558
O 0.177 0.654 0.058
O 0.227 0.069 0.290
O 0.227 0.931 0.790
O 0.289 0.257 0.026
O 0.289 0.743 0.526
O 0.305 0.419 0.280
O 0.305 0.581 0.780
O 0.355 0.043 0.562
O 0.355 0.957 0.062
O 0.356 0.239 0.804
O 0.356 0.761 0.304
O 0.437 0.410 0.563
O 0.437 0.590 0.063
O 0.500 0.150 0.250
O 0.500 0.850 0.750
O 0.563 0.410 0.937
O 0.563 0.590 0.437
O 0.644 0.239 0.696
O 0.644 0.761 0.196
O 0.645 0.043 0.938
O 0.645 0.957 0.438
O 0.695 0.419 0.220
O 0.695 0.581 0.720
O 0.711 0.257 0.474
O 0.711 0.743 0.974
O 0.773 0.069 0.210
O 0.773 0.931 0.710
O 0.823 0.346 0.942
O 0.823 0.654 0.442
O 0.920 0.440 0.620
O 0.920 0.560 0.120
O 0.956 0.259 0.358
O 0.956 0.741 0.858
O 0.994 0.078 0.888
O 0.994 0.922 0.388


A plane-wave DFT calculation with PBE-GGA was carried out for La15B14C19 after structural relaxation.

Summary:
**Total energy**: -718.00 eV/cell
**DFT formation energy**: -336 meV per atom
**SG**: P2_1/c

Unit cell a=8.672 b=8.695 c=19.571 alpha=90.00 beta=92.75 gamma=90.00
Fractional coordinates of all 96 atoms:
La 0.000 0.000 0.000
La 0.000 0.500 0.500
La 0.064 0.089 0.821
La 0.064 0.411 0.321
La 0.132 0.201 0.639
La 0.132 0.299 0.139
La 0.194 0.604 0.992
La 0.194 0.896 0.492
La 0.264 0.017 0.306
La 0.264 0.483 0.806
La 0.333 0.715 0.169
La 0.333 0.785 0.669
La 0.388 0.209 0.974
La 0.388 0.291 0.474
La 0.471 0.599 0.346
La 0.471 0.901 0.846
La 0.529 0.099 0.154
La 0.529 0.401 0.654
La 0.612 0.709 0.526
La 0.612 0.791 0.026
La 0.667 0.215 0.331
La 0.667 0.285 0.831
La 0.736 0.517 0.194
La 0.736 0.983 0.694
La 0.806 0.104 0.508
La 0.806 0.396 0.008
La 0.868 0.701 0.861
La 0.868 0.799 0.361
La 0.936 0.589 0.679
La 0.936 0.911 0.179
B 0.049 0.610 0.208
B 0.049 0.890 0.708
B 0.061 0.168 0.432
B 0.061 0.332 0.932
B 0.168 0.706 0.340
B 0.168 0.794 0.840
B 0.244 0.515 0.604
B 0.244 0.985 0.104
B 0.303 0.602 0.466
B 0.303 0.898 0.966
B 0.427 0.103 0.712
B 0.427 0.397 0.212
B 0.477 0.029 0.572
B 0.477 0.471 0.072
B 0.523 0.529 0.928
B 0.523 0.971 0.428
B 0.573 0.603 0.788
B 0.573 0.897 0.288
B 0.697 0.102 0.034
B 0.697 0.398 0.534
B 0.756 0.015 0.896
B 0.756 0.485 0.396
B 0.832 0.206 0.160
B 0.832 0.294 0.660
B 0.939 0.668 0.068
B 0.939 0.832 0.568
B 0.951 0.110 0.292
B 0.951 0.390 0.792
C 0.018 0.625 0.133
C 0.018 0.875 0.633
C 0.102 0.189 0.504
C 0.102 0.311 0.004
C 0.110 0.702 0.269
C 0.110 0.798 0.769
C 0.192 0.642 0.408
C 0.192 0.858 0.908
C 0.236 0.012 0.177
C 0.236 0.488 0.677
C 0.300 0.581 0.541
C 0.300 0.919 0.041
C 0.370 0.197 0.843
C 0.370 0.303 0.343
C 0.379 0.173 0.775
C 0.379 0.327 0.275
C 0.434 0.093 0.637
C 0.434 0.407 0.137
C 0.500 0.000 0.500
C 0.500 0.500 0.000
C 0.566 0.593 0.863
C 0.566 0.907 0.363
C 0.621 0.673 0.725
C 0.621 0.827 0.225
C 0.630 0.697 0.657
C 0.630 0.803 0.157
C 0.700 0.081 0.959
C 0.700 0.419 0.459
C 0.764 0.512 0.323
C 0.764 0.988 0.823
C 0.808 0.142 0.092
C 0.808 0.358 0.592
C 0.890 0.202 0.231
C 0.890 0.298 0.731
C 0.898 0.689 0.996
C 0.898 0.811 0.496
C 0.982 0.125 0.367
C 0.982 0.375 0.867


Question: Look up the DFT formation energy of the first one.
Answer: -1404 meV per atom


Question: Which of these has the lowest DFT formation energy?
Answer: NaIn4PS5O24


Question: Which value of total energy does entry 9 give?
Answer: -718.00 eV/cell